(1)
Ba2Sn2F11 after structural relaxation. Source: the Materials Project database, functional PBE-GGA.

Cell: 7.8043 7.8043 15.0017 Å, 90.00 90.00 120.00°
Space group P3_2 (No. 145)
One atom of each set of equivalent atoms:
Ba 0.1446 0.4136 0.0000 [3 per cell]
Ba 0.5164 0.1471 0.8481 [3 per cell]
Sn 0.0305 0.5719 0.7553 [3 per cell]
Sn 0.2023 0.0406 0.5847 [3 per cell]
F 0.0347 0.7466 0.6043 [3 per cell]
F 0.1030 0.0434 0.9298 [3 per cell]
F 0.1549 0.4836 0.6573 [3 per cell]
F 0.1601 0.0440 0.4525 [3 per cell]
F 0.2547 0.5770 0.4688 [3 per cell]
F 0.2680 0.0899 0.7138 [3 per cell]
F 0.3524 0.0217 0.1641 [3 per cell]
F 0.3944 0.3363 0.5715 [3 per cell]
F 0.4141 0.3571 0.0456 [3 per cell]
F 0.4277 0.0010 0.5450 [3 per cell]
F 0.5515 0.2853 0.3731 [3 per cell]

---

(2)
BaSnF4 after structural relaxation. Source: the Materials Project database, functional PBE-GGA.

Cell: 4.423 4.423 11.215 Å, 90.00 90.00 90.00°
Space group P4/nmm (No. 129, origin choice 2)
One atom of each set of equivalent atoms:
Ba 0.250 0.250 0.132 [2 per cell]
Sn 0.250 0.250 0.629 [2 per cell]
F 0.250 0.250 0.817 [2 per cell]
F 0.250 0.750 0.000 [2 per cell]
F 0.250 0.750 0.313 [4 per cell]

---

| no. | formation energy (eV/atom) |
| --- | --- |
| 1 | -3.248 |
| 2 | -3.378 |